Entry 1:
Below is a geometry-optimized Na2Lu3Te4I3O12 structure, with properties calculated at the r²SCAN level.

Unit cell a=5.490 b=9.219 c=16.523 alpha=90.00 beta=90.00 gamma=90.00
Sites, in units of the cell vectors:
O 0.041 0.127 0.021
O 0.506 0.151 0.993
O 0.506 0.849 0.507
O 0.540 0.132 0.312
O 0.460 0.132 0.812
O 0.994 0.844 0.659
O 0.418 0.881 0.354
O 0.540 0.868 0.188
O 0.041 0.873 0.479
O 0.959 0.873 0.979
O 0.959 0.127 0.521
O 0.006 0.844 0.159
O 0.582 0.881 0.854
O 0.582 0.119 0.646
O 0.418 0.119 0.146
O 0.460 0.868 0.688
O 0.924 0.127 0.186
O 0.076 0.127 0.686
O 0.994 0.156 0.841
O 0.076 0.873 0.814
O 0.924 0.873 0.314
O 0.494 0.151 0.493
O 0.006 0.156 0.341
O 0.494 0.849 0.007
I 0.744 0.500 0.750
I 0.756 0.495 0.083
I 0.244 0.495 0.583
I 0.256 0.500 0.250
I 0.756 0.505 0.417
I 0.244 0.505 0.917
Te 0.286 0.245 0.066
Te 0.209 0.752 0.733
Te 0.791 0.248 0.267
Te 0.714 0.755 0.934
Te 0.714 0.245 0.566
Te 0.286 0.755 0.434
Te 0.209 0.248 0.767
Te 0.791 0.752 0.233
Lu 0.246 0.000 0.250
Lu 0.746 0.999 0.415
Lu 0.254 0.999 0.915
Lu 0.754 0.000 0.750
Lu 0.254 0.001 0.585
Lu 0.746 0.001 0.085
Na 0.738 0.294 0.913
Na 0.262 0.294 0.413
Na 0.738 0.706 0.587
Na 0.262 0.706 0.087

Calculated values
Energy, eV for the cell shown: -838.90
Size of the total moment, μB/atom: 0.000
SG: P2/c, No. 13

---

Entry 2:
Below is a geometry-optimized LuIO structure, with properties calculated at the r²SCAN level.

Unit cell a=3.838 b=3.838 c=9.346 alpha=90.00 beta=90.00 gamma=90.00
Sites, in units of the cell vectors:
I 0.250 0.250 0.185
I 0.750 0.750 0.815
Lu 0.750 0.750 0.389
Lu 0.250 0.250 0.611
O 0.250 0.750 0.500
O 0.750 0.250 0.500

Calculated values
Energy, eV for the cell shown: -155.43
Size of the total moment, μB/atom: 0.000
SG: P4/nmm, No. 129

---

Entry 3:
Below is a geometry-optimized MgI2 structure, with properties calculated at the r²SCAN level.

Unit cell a=4.196 b=4.196 c=7.106 alpha=90.00 beta=90.00 gamma=120.00
Sites, in units of the cell vectors:
I 0.333 0.667 0.234
I 0.667 0.333 0.766
Mg 0.000 0.000 0.000

Calculated values
Energy, eV for the cell shown: -56.97
Size of the total moment, μB/atom: 0.000
SG: P-3m1, No. 164

---

Entry 4:
Below is a geometry-optimized NaMnIO6 structure, with properties calculated at the r²SCAN level.

Unit cell a=5.001 b=5.001 c=5.110 alpha=90.00 beta=90.00 gamma=120.00
Sites, in units of the cell vectors:
Mn 0.333 0.667 0.000
O 0.292 0.331 0.205
O 0.292 0.961 0.795
O 0.669 0.961 0.205
O 0.039 0.708 0.205
O 0.669 0.708 0.795
O 0.039 0.331 0.795
Na 0.667 0.333 0.500
I 0.000 0.000 0.000

Calculated values
Energy, eV for the cell shown: -90.10
Size of the total moment, μB/atom: 0.333
SG: P312, No. 149

---

no.,energy of formation from the pure elements (kJ per mole of atoms)
1,-205
2,-293
3,-118
4,-123